# 1
A plane-wave DFT calculation with PBE was carried out for a relaxed structure of NaNbGe3P6O24.

a = 8.4391 Å, b = 8.4391 Å, c = 21.9470 Å
α = 90.00°, β = 90.00°, γ = 120.00°
With the nearest neighbours (Å) after each atom.
Atoms (fractional coordinates):
1 O 0.5191 0.8278 0.7601  1 P 1.52
2 O 0.8543 0.3588 0.9243  1 P 1.55
3 O 0.4652 0.2964 0.0252  1 P 1.54
4 O 0.1652 0.4611 0.9742  1 P 1.54
5 O 0.6425 0.1478 0.4240  1 P 1.55
6 O 0.6910 0.1720 0.7427  1 P 1.54
7 O 0.1722 0.6913 0.7601  1 P 1.52
8 O 0.8329 0.0390 0.8078  1 P 1.54
9 O 0.1456 0.6390 0.0735  1 P 1.52
10 O 0.5389 0.7041 0.9742  1 P 1.54
11 O 0.5004 0.8726 0.3590  1 P 1.53
12 O 0.6412 0.4955 0.9243  1 P 1.55
13 O 0.8329 0.7939 0.3076  1 P 1.54
14 O 0.3610 0.5065 0.0735  1 P 1.52
15 O 0.5000 0.3709 0.1404  1 P 1.54
16 O 0.8321 0.8018 0.5910  1 P 1.53
17 O 0.9734 0.8032 0.0897  1 P 1.56
18 O 0.8280 0.5190 0.7427  1 P 1.54
19 O 0.7930 0.8267 0.1951  1 P 1.56
20 O 0.9698 0.1679 0.5910  1 P 1.53
21 O 0.1720 0.4807 0.2601  1 P 1.52
22 O 0.3087 0.4809 0.7601  1 P 1.52
23 O 0.7036 0.1688 0.0252  1 P 1.54
24 O 0.9610 0.7938 0.8078  1 P 1.54
25 O 0.4935 0.8544 0.0735  1 P 1.52
26 O 0.0334 0.8264 0.6950  1 P 1.55
27 O 0.5035 0.1337 0.6413  1 P 1.53
28 O 0.5404 0.8403 0.4717  1 P 1.55
29 O 0.6302 0.4965 0.6413  1 P 1.53
30 O 0.6291 0.1291 0.1404  1 P 1.54
31 O 0.1352 0.4987 0.5757  1 P 1.53
32 O 0.8663 0.3698 0.6413  1 P 1.53
33 O 0.3706 0.8720 0.8592  1 P 1.54
34 O 0.2999 0.4596 0.4717  1 P 1.55
35 O 0.5053 0.3575 0.4240  1 P 1.55
36 O 0.8298 0.0266 0.0897  1 P 1.56
37 O 0.2062 0.1671 0.8078  1 P 1.54
38 O 0.8709 0.5000 0.1404  1 P 1.54
39 O 0.1280 0.4986 0.8592  1 P 1.54
40 O 0.3087 0.8280 0.2601  1 P 1.52
41 O 0.6908 0.5184 0.2424  1 P 1.54
42 O 0.3635 0.8648 0.5757  1 P 1.53
43 O 0.5045 0.1457 0.9243  1 P 1.55
44 O 0.5193 0.6913 0.2601  1 P 1.52
45 O 0.7032 0.5329 0.5254  1 P 1.53
46 O 0.9610 0.1671 0.3076  1 P 1.54
47 O 0.1274 0.6277 0.3590  1 P 1.53
48 O 0.1614 0.1860 0.4067  1 P 1.52
49 O 0.8312 0.5348 0.0252  1 P 1.54
50 O 0.2061 0.0390 0.3076  1 P 1.54
51 O 0.4810 0.3090 0.7427  1 P 1.54
52 O 0.1618 0.9745 0.9089  1 P 1.55
53 O 0.8140 0.9754 0.4067  1 P 1.52
54 O 0.8297 0.2968 0.5254  1 P 1.53
55 O 0.1733 0.9663 0.1951  1 P 1.56
56 O 0.8127 0.8382 0.9089  1 P 1.55
57 O 0.5014 0.6294 0.8592  1 P 1.54
58 O 0.1736 0.2070 0.6950  1 P 1.55
59 O 0.1982 0.0302 0.5910  1 P 1.53
60 O 0.2959 0.8348 0.9742  1 P 1.54
61 O 0.3723 0.4996 0.3590  1 P 1.53
62 O 0.8522 0.4947 0.4240  1 P 1.55
63 O 0.8276 0.3092 0.2424  1 P 1.54
64 O 0.4671 0.1703 0.5254  1 P 1.53
65 O 0.5013 0.6365 0.5757  1 P 1.53
66 O 0.7930 0.9666 0.6950  1 P 1.55
67 O 0.0255 0.1873 0.9089  1 P 1.55
68 O 0.0337 0.2070 0.1951  1 P 1.56
69 O 0.1968 0.1702 0.0897  1 P 1.56
70 O 0.4816 0.1724 0.2424  1 P 1.54
71 O 0.1597 0.7001 0.4717  1 P 1.55
72 O 0.0246 0.8386 0.4067  1 P 1.52
73 P 0.9543 0.6106 0.0817  4 O 1.52-1.56
74 P 0.6273 0.9594 0.4140  4 O 1.52-1.55
75 P 0.3321 0.3727 0.4140  4 O 1.52-1.55
76 P 0.3907 0.0572 0.5833  4 O 1.53
77 P 0.6563 0.0457 0.0817  4 O 1.52-1.56
78 P 0.3333 0.9534 0.9166  4 O 1.54-1.55
79 P 0.2936 0.9992 0.2527  4 O 1.52-1.56
80 P 0.0015 0.7071 0.7526  4 O 1.52-1.55
81 P 0.7056 0.7064 0.2527  4 O 1.52-1.56
82 P 0.0466 0.3800 0.9166  4 O 1.54-1.55
83 P 0.6666 0.6093 0.5833  4 O 1.53
84 P 0.6200 0.6667 0.9166  4 O 1.54-1.55
85 P 0.0406 0.6679 0.4140  4 O 1.52-1.55
86 P 0.2929 0.2944 0.7526  4 O 1.52-1.55
87 P 0.7056 0.9985 0.7526  4 O 1.52-1.55
88 P 0.9428 0.3334 0.5833  4 O 1.53
89 P 0.0008 0.2944 0.2527  4 O 1.52-1.56
90 P 0.3894 0.3437 0.0817  4 O 1.52-1.56
91 Na 0.6667 0.3333 0.3331  6 O 2.48
92 Na 0.0000 0.0000 0.9977  6 O 2.45-2.55
93 Na 0.6667 0.3333 0.8339  6 O 2.48-2.49
94 Ge 0.6667 0.3333 0.4785  6 O 1.86-1.90
95 Ge 0.3333 0.6667 0.0206  6 O 1.88-1.90
96 Ge 0.0000 0.0000 0.8534  6 O 1.89-1.92
97 Ge 0.0000 0.0000 0.3544  6 O 1.87-1.90
98 Ge 0.6667 0.3333 0.1859  6 O 1.88-1.92
99 Ge 0.6667 0.3333 0.9789  6 O 1.87-1.91
100 Ge 0.3333 0.6667 0.3122  6 O 1.87-1.90
101 Ge 0.3333 0.6667 0.8131  6 O 1.88-1.89
102 Ge 0.6667 0.3333 0.6882  6 O 1.86-1.90
103 Nb 0.3333 0.6667 0.5220  6 O 1.96
104 Nb 0.0000 0.0000 0.1455  6 O 1.95-1.98
105 Nb 0.0000 0.0000 0.6445  6 O 1.95-1.97

Summary:
size of the total moment = 0.00 μB per cell
crystal system = trigonal
ρ = 3326 kg/m³
total energy = -7.13 eV/atom
space group = P3 (143)


# 2
A plane-wave DFT calculation with PBE was carried out for a relaxed structure of NaNbSiGeP2O12.

a = 8.6450 Å, b = 8.6378 Å, c = 22.3260 Å
α = 90.32°, β = 90.00°, γ = 120.03°
With the nearest neighbours (Å) after each atom.
Atoms (fractional coordinates):
1 Na 0.6693 0.3346 0.8299  6 O 2.39-2.66
2 Na 0.0026 0.0032 0.9965  6 O 2.43-2.66
3 Na 0.3353 0.6672 0.1630  6 O 2.38-2.66
4 Na 0.0007 0.0032 0.4965  6 O 2.43-2.66
5 Na 0.6653 0.3346 0.3299  6 O 2.39-2.66
6 Na 0.3319 0.6672 0.6630  6 O 2.38-2.66
7 O 0.3047 0.8377 0.2565  1 P 1.55
8 O 0.5003 0.1306 0.6411  1 P 1.54
9 O 0.8760 0.4998 0.1408  1 P 1.54
10 O 0.6917 0.1714 0.7431  1 P 1.54
11 O 0.1748 0.2026 0.6941  1 P 1.54
12 O 0.8025 0.9773 0.6945  1 P 1.54
13 O 0.1534 0.4700 0.2564  1 P 1.55
14 O 0.1372 0.4961 0.8584  1 Si 1.64
15 O 0.8424 0.8041 0.3109  1 Si 1.62, 1 Ge 1.81
16 O 0.4926 0.1326 0.9232  1 P 1.56
17 O 0.8238 0.0239 0.0897  1 P 1.56
18 O 0.1671 0.7084 0.4744  1 P 1.54
19 O 0.5083 0.6426 0.8612  1 P 1.54
20 O 0.2001 0.0239 0.5897  1 P 1.56
21 O 0.8658 0.5079 0.4233  1 P 1.56
22 O 0.4880 0.8583 0.0754  1 P 1.54
23 O 0.3703 0.8583 0.5754  1 P 1.54
24 O 0.8268 0.8007 0.5897  1 P 1.56
25 O 0.9608 0.1686 0.3070  1 P 1.54
26 O 0.4777 0.2968 0.7415  1 P 1.54
27 O 0.1476 0.6419 0.0765  1 P 1.54
28 O 0.8079 0.9659 0.4107  1 P 1.53
29 O 0.8063 0.8323 0.1923  1 Si 1.62
30 O 0.5413 0.7084 0.9744  1 P 1.54
31 O 0.4990 0.3527 0.4230  1 Si 1.64
32 O 0.6238 0.4998 0.6408  1 P 1.54
33 O 0.1724 0.4640 0.9761  1 Si 1.61
34 O 0.1343 0.6426 0.3612  1 P 1.54
35 O 0.1580 0.9659 0.9107  1 P 1.53
36 O 0.2078 0.1686 0.8070  1 P 1.54
37 O 0.8417 0.5313 0.0281  1 P 1.54
38 O 0.6421 0.5079 0.9233  1 P 1.56
39 O 0.2981 0.8324 0.9747  1 P 1.54
40 O 0.0301 0.8420 0.4108  1 P 1.54
41 O 0.1555 0.5226 0.5768  1 Si 1.62
42 O 0.5248 0.6921 0.2561  1 Si 1.65
43 O 0.6936 0.1607 0.0278  1 P 1.55
44 O 0.3588 0.4961 0.3584  1 Si 1.64
45 O 0.8118 0.8420 0.9108  1 P 1.54
46 O 0.5330 0.8377 0.7565  1 P 1.55
47 O 0.7005 0.5124 0.2440  1 Si 1.62
48 O 0.0261 0.8323 0.6923  1 Si 1.62
49 O 0.5061 0.3731 0.1433  1 Si 1.62
50 O 0.6400 0.1326 0.4232  1 P 1.56
51 O 0.9618 0.8041 0.8109  1 Si 1.62, 1 Ge 1.81
52 O 0.4797 0.1714 0.2431  1 P 1.54
53 O 0.4706 0.3066 0.0252  1 Si 1.63
54 O 0.1673 0.6921 0.7561  1 Si 1.65
55 O 0.3671 0.5226 0.0768  1 Si 1.62
56 O 0.4671 0.1607 0.5278  1 P 1.55
57 O 0.8333 0.0422 0.8072  1 P 1.54
58 O 0.6303 0.1306 0.1411  1 P 1.54
59 O 0.8360 0.3066 0.5252  1 Si 1.63
60 O 0.2917 0.4640 0.4761  1 Si 1.61
61 O 0.8190 0.2968 0.2415  1 P 1.54
62 O 0.5055 0.8655 0.3615  1 P 1.54
63 O 0.1874 0.1673 0.0899  1 Si 1.64
64 O 0.8118 0.5124 0.7440  1 Si 1.62
65 O 0.3600 0.8655 0.8615  1 P 1.54
66 O 0.8537 0.3527 0.9230  1 Si 1.64
67 O 0.8670 0.3731 0.6433  1 Si 1.62
68 O 0.1446 0.1749 0.4073  1 Si 1.62
69 O 0.3166 0.4700 0.7564  1 P 1.55
70 O 0.2089 0.0422 0.3072  1 P 1.54
71 O 0.0303 0.1749 0.9073  1 Si 1.62
72 O 0.5343 0.8324 0.4747  1 P 1.54
73 O 0.6896 0.5313 0.5281  1 P 1.54
74 O 0.9739 0.8007 0.0897  1 P 1.56
75 O 0.4943 0.6419 0.5765  1 P 1.54
76 O 0.1748 0.9773 0.1945  1 P 1.54
77 O 0.0278 0.2026 0.1941  1 P 1.54
78 O 0.9799 0.1673 0.5899  1 Si 1.64
79 Ge 0.9981 0.9991 0.8534  6 O 1.81-2.01
80 Ge 0.3315 0.6574 0.0200  6 O 1.82-2.00
81 Ge 0.3258 0.6574 0.5200  6 O 1.82-2.00
82 Ge 0.6637 0.3392 0.1870  6 O 1.82-1.98
83 Ge 0.0010 0.9991 0.3534  6 O 1.81-2.01
84 Ge 0.6755 0.3392 0.6870  6 O 1.82-1.98
85 Si 0.3859 0.3465 0.0845  4 O 1.62-1.64
86 Si 0.7235 0.7093 0.2515  4 O 1.62-1.65
87 Si 0.9859 0.7093 0.7515  4 O 1.62-1.65
88 Si 0.3193 0.3703 0.4175  4 O 1.61-1.64
89 Si 0.9607 0.3465 0.5845  4 O 1.62-1.64
90 Si 0.0510 0.3703 0.9175  4 O 1.61-1.64
91 Nb 0.3372 0.6628 0.3095  6 O 1.89-2.05
92 Nb 0.6678 0.3323 0.4763  6 O 1.92-2.01
93 Nb 0.9982 0.0000 0.1429  6 O 1.92-2.01
94 Nb 0.6645 0.3323 0.9763  6 O 1.92-2.01
95 Nb 0.3256 0.6628 0.8095  6 O 1.89-2.05
96 Nb 0.0018 0.0000 0.6429  6 O 1.92-2.01
97 P 0.9868 0.2801 0.2505  4 O 1.54-1.55
98 P 0.7181 0.0094 0.7507  4 O 1.54-1.55
99 P 0.6217 0.9441 0.4182  4 O 1.53-1.56
100 P 0.0539 0.6777 0.4175  4 O 1.54-1.56
101 P 0.9586 0.6137 0.0844  4 O 1.54-1.56
102 P 0.3224 0.9441 0.9182  4 O 1.53-1.56
103 P 0.3889 0.0439 0.5841  4 O 1.54-1.56
104 P 0.6550 0.0439 0.0841  4 O 1.54-1.56
105 P 0.6551 0.6137 0.5844  4 O 1.54-1.56
106 P 0.6238 0.6777 0.9175  4 O 1.54-1.56
107 P 0.2933 0.2801 0.7505  4 O 1.54-1.55
108 P 0.2913 0.0094 0.2507  4 O 1.54-1.55

Summary:
size of the total moment = 0.00 μB per cell
crystal system = monoclinic
ρ = 3248 kg/m³
total energy = -7.36 eV/atom
space group = Cc (9)


# 3
A plane-wave DFT calculation with PBE was carried out for a relaxed structure of Na2NbSi2GePO12.

a = 8.7840 Å, b = 8.7840 Å, c = 22.2425 Å
α = 89.47°, β = 90.53°, γ = 120.07°
With the nearest neighbours (Å) after each atom.
Atoms (fractional coordinates):
1 O 0.0286 0.2017 0.1897  1 Si 1.64
2 O 0.8366 0.7911 0.3107  1 Si 1.64
3 O 0.6953 0.5350 0.5230  1 Si 1.64
4 O 0.4998 0.8597 0.3595  1 Si 1.63
5 O 0.4829 0.6372 0.5762  1 Si 1.64
6 O 0.5180 0.6888 0.2554  1 Si 1.63
7 O 0.3034 0.8395 0.2558  1 P 1.57
8 O 0.6367 0.5062 0.9225  1 P 1.57
9 O 0.8514 0.3555 0.9221  1 Si 1.63
10 O 0.4952 0.8561 0.0766  1 P 1.53
11 O 0.1874 0.1733 0.0898  1 Si 1.66
12 O 0.2987 0.8244 0.9758  1 Si 1.62
13 O 0.8332 0.5263 0.0262  1 Si 1.63
14 O 0.1847 0.0221 0.5887  1 Si 1.63
15 O 0.1496 0.9706 0.9095  1 Si 1.64
16 O 0.2089 0.1634 0.8107  1 Si 1.64
17 O 0.3619 0.8684 0.8563  1 Si 1.64
18 O 0.9779 0.8153 0.0887  1 Si 1.63
19 O 0.6976 0.5155 0.2434  1 Si 1.64
20 O 0.1665 0.1930 0.6928  1 Si 1.63
21 O 0.4845 0.3024 0.7434  1 Si 1.64
22 O 0.8423 0.0347 0.8092  1 Si 1.62
23 O 0.5060 0.6388 0.8620  1 P 1.56
24 O 0.4938 0.3633 0.4225  1 P 1.57
25 O 0.5422 0.8300 0.4774  1 Si 1.64
26 O 0.1700 0.4578 0.9774  1 Si 1.64
27 O 0.3642 0.8489 0.5767  1 Si 1.64
28 O 0.9653 0.1577 0.3092  1 Si 1.62
29 O 0.1756 0.7013 0.4758  1 Si 1.62
30 O 0.8070 0.8335 0.1928  1 Si 1.63
31 O 0.6302 0.1267 0.1410  1 P 1.54
32 O 0.4650 0.3047 0.0230  1 Si 1.64
33 O 0.1727 0.9722 0.1953  1 P 1.56
34 O 0.8105 0.8381 0.9099  1 P 1.53
35 O 0.3612 0.4940 0.3620  1 P 1.56
36 O 0.8272 0.0300 0.0891  1 P 1.57
37 O 0.8733 0.3698 0.6410  1 P 1.54
38 O 0.9700 0.1728 0.5891  1 P 1.57
39 O 0.6320 0.4911 0.6425  1 Si 1.62
40 O 0.1316 0.6381 0.3563  1 Si 1.64
41 O 0.4737 0.1668 0.5262  1 Si 1.63
42 O 0.3112 0.4820 0.7554  1 Si 1.63
43 O 0.8540 0.5067 0.4231  1 Si 1.66
44 O 0.8286 0.5228 0.7432  1 P 1.53
45 O 0.2066 0.0365 0.3077  1 P 1.54
46 O 0.6945 0.1606 0.0286  1 P 1.56
47 O 0.8162 0.3039 0.2429  1 Si 1.64
48 O 0.5033 0.1244 0.6440  1 Si 1.64
49 O 0.4772 0.1714 0.2432  1 P 1.53
50 O 0.1403 0.5002 0.8595  1 Si 1.63
51 O 0.1439 0.5048 0.5766  1 P 1.53
52 O 0.3628 0.5171 0.0762  1 Si 1.64
53 O 0.8394 0.3055 0.5286  1 P 1.56
54 O 0.5207 0.8400 0.7565  1 Si 1.66
55 O 0.7983 0.9714 0.6897  1 Si 1.64
56 O 0.0294 0.8504 0.4095  1 Si 1.64
57 O 0.1605 0.6966 0.7558  1 P 1.57
58 O 0.8178 0.9691 0.4100  1 Si 1.64
59 O 0.5399 0.7031 0.9744  1 P 1.54
60 O 0.1600 0.4793 0.2565  1 Si 1.66
61 O 0.6961 0.1838 0.7429  1 Si 1.64
62 O 0.8267 0.8126 0.5898  1 Si 1.66
63 O 0.6445 0.1486 0.4221  1 Si 1.63
64 O 0.0309 0.1822 0.9100  1 Si 1.64
65 O 0.0278 0.8273 0.6953  1 P 1.56
66 O 0.1619 0.1895 0.4099  1 P 1.53
67 O 0.9635 0.7934 0.8077  1 P 1.54
68 O 0.2969 0.4601 0.4744  1 P 1.54
69 O 0.5089 0.3680 0.1425  1 Si 1.62
70 O 0.4933 0.1460 0.9231  1 Si 1.66
71 O 0.8756 0.4967 0.1440  1 Si 1.64
72 O 0.1511 0.6358 0.0767  1 Si 1.64
73 Na 0.3276 0.6514 0.6634  6 O 2.42-2.68
74 Na 0.3294 0.2973 0.9165  4 O 2.29-2.49
75 Na 0.9960 0.6306 0.2498  4 O 2.29-2.49
76 Na 0.7027 0.6706 0.4165  4 O 2.29-2.49
77 Na 0.6820 0.3391 0.8301  6 O 2.42-2.68
78 Na 0.6627 0.9639 0.5832  4 O 2.29-2.49
79 Na 0.0153 0.0057 0.4968  6 O 2.42-2.68
80 Na 0.0361 0.3373 0.0832  4 O 2.29-2.49
81 Na 0.3486 0.6724 0.1634  6 O 2.42-2.68
82 Na 0.6609 0.3180 0.3301  6 O 2.42-2.68
83 Na 0.3694 0.0040 0.7498  4 O 2.29-2.49
84 Na 0.9943 0.9847 0.9968  6 O 2.42-2.68
85 Si 0.7111 0.7070 0.2509  4 O 1.63-1.64
86 Si 0.3215 0.9450 0.9172  4 O 1.62-1.66
87 Si 0.2930 0.2889 0.7509  4 O 1.63-1.64
88 Si 0.9597 0.6223 0.0843  4 O 1.63-1.64
89 Si 0.7217 0.0119 0.7505  4 O 1.62-1.66
90 Si 0.3777 0.0403 0.5843  4 O 1.63-1.64
91 Si 0.0444 0.3737 0.9176  4 O 1.63-1.64
92 Si 0.9881 0.2783 0.2505  4 O 1.62-1.66
93 Si 0.6263 0.9556 0.4176  4 O 1.63-1.64
94 Si 0.6548 0.6116 0.5839  4 O 1.62-1.66
95 Si 0.3884 0.3452 0.0839  4 O 1.62-1.66
96 Si 0.0550 0.6785 0.4172  4 O 1.62-1.66
97 Nb 0.3335 0.6660 0.8110  6 O 1.92-2.06
98 Nb 0.6669 0.3327 0.4777  6 O 1.92-2.06
99 Nb 0.6673 0.3331 0.9777  6 O 1.92-2.06
100 Nb 0.3340 0.6665 0.3110  6 O 1.92-2.06
101 Nb 0.0002 0.9993 0.1443  6 O 1.92-2.06
102 Nb 0.0007 0.9998 0.6443  6 O 1.92-2.06
103 P 0.9602 0.3460 0.5850  4 O 1.53-1.57
104 P 0.6269 0.6793 0.9184  4 O 1.53-1.57
105 P 0.6540 0.0398 0.0850  4 O 1.53-1.57
106 P 0.3207 0.3731 0.4184  4 O 1.53-1.57
107 P 0.2935 0.0127 0.2517  4 O 1.53-1.57
108 P 0.9873 0.7065 0.7517  4 O 1.53-1.57
109 Ge 0.0028 0.0063 0.8534  6 O 1.83-2.03
110 Ge 0.3271 0.6638 0.0201  6 O 1.83-2.03
111 Ge 0.9937 0.9972 0.3534  6 O 1.83-2.03
112 Ge 0.6695 0.3396 0.1868  6 O 1.83-2.03
113 Ge 0.3362 0.6729 0.5201  6 O 1.83-2.03
114 Ge 0.6604 0.3305 0.6868  6 O 1.83-2.03

Summary:
size of the total moment = 0.00 μB per cell
ρ = 3292 kg/m³
total energy = -7.21 eV/atom